1.
The following is a meta-GGA r2SCAN calculation of SmAgS2 after structural relaxation, from the Materials Project database.

Calculated values
Electronic total energy, eV per cell: -586.14
Calculated formation energy, eV per atom: -1.53

```
data_SmAgS2
_symmetry_space_group_name_H-M 'P 1'
_symmetry_Int_Tables_number 1
_symmetry_space_group_name_Hall 'P 1'
_cell_length_a 7.771
_cell_length_b 7.767
_cell_length_c 12.755
_cell_angle_alpha 90.00
_cell_angle_beta 90.01
_cell_angle_gamma 90.00
loop_
_atom_site_label
_atom_site_type_symbol
_atom_site_fract_x
_atom_site_fract_y
_atom_site_fract_z
_atom_site_occupancy
Sm1 Sm 0.000 0.000 0.247 1
Sm2 Sm 0.000 0.500 0.753 1
Sm3 Sm 0.249 0.248 0.502 1
Sm4 Sm 0.251 0.750 0.002 1
Sm5 Sm 0.500 0.498 0.253 1
Sm6 Sm 0.500 0.998 0.747 1
Sm7 Sm 0.749 0.250 0.998 1
Sm8 Sm 0.751 0.748 0.498 1
Ag1 Ag 0.007 0.514 0.320 1
Ag2 Ag 0.232 0.259 0.069 1
Ag3 Ag 0.266 0.741 0.569 1
Ag4 Ag 0.495 0.486 0.820 1
Ag5 Ag 0.505 0.986 0.180 1
Ag6 Ag 0.734 0.241 0.431 1
Ag7 Ag 0.768 0.759 0.931 1
Ag8 Ag 0.993 0.014 0.680 1
S1 S 0.026 0.026 0.027 1
S2 S 0.033 0.532 0.532 1
S3 S 0.217 0.282 0.282 1
S4 S 0.223 0.223 0.723 1
S5 S 0.277 0.776 0.223 1
S6 S 0.283 0.716 0.782 1
S7 S 0.467 0.467 0.032 1
S8 S 0.474 0.972 0.527 1
S9 S 0.526 0.472 0.473 1
S10 S 0.533 0.967 0.968 1
S11 S 0.717 0.216 0.218 1
S12 S 0.723 0.276 0.777 1
S13 S 0.777 0.723 0.277 1
S14 S 0.783 0.782 0.718 1
S15 S 0.967 0.032 0.468 1
S16 S 0.974 0.526 0.973 1
```

---

2.
The following is a meta-GGA r2SCAN calculation of Ta4AgS8 after structural relaxation, from the Materials Project database.

Calculated values
Relative energy among the computed polymorphs, meV/atom: 2
Electronic total energy, eV per cell: -294.23
Calculated formation energy, eV per atom: -1.09

```
data_Ta4AgS8
_symmetry_space_group_name_H-M 'P 1'
_symmetry_Int_Tables_number 1
_symmetry_space_group_name_Hall 'P 1'
_cell_length_a 5.812
_cell_length_b 3.353
_cell_length_c 13.564
_cell_angle_alpha 90.00
_cell_angle_beta 98.11
_cell_angle_gamma 90.00
loop_
_atom_site_label
_atom_site_type_symbol
_atom_site_fract_x
_atom_site_fract_y
_atom_site_fract_z
_atom_site_occupancy
Ta1 Ta 0.000 0.000 0.000 1
Ta2 Ta 0.148 0.000 0.461 1
Ta3 Ta 0.523 0.500 0.000 1
Ta4 Ta 0.677 0.500 0.461 1
Ag1 Ag 0.432 0.500 0.753 1
S1 S 0.298 0.500 0.351 1
S2 S 0.301 0.000 0.885 1
S3 S 0.369 0.500 0.574 1
S4 S 0.378 0.000 0.111 1
S5 S 0.789 0.000 0.344 1
S6 S 0.813 0.500 0.881 1
S7 S 0.867 0.000 0.580 1
S8 S 0.884 0.500 0.116 1
```

---

3.
The following is a meta-GGA r2SCAN calculation of TaAgS3 after structural relaxation, from the Materials Project database.

Calculated values
Electronic total energy, eV per cell: -195.87
Calculated formation energy, eV per atom: -0.78

```
data_TaAgS3
_symmetry_space_group_name_H-M 'P 1'
_symmetry_Int_Tables_number 1
_symmetry_space_group_name_Hall 'P 1'
_cell_length_a 7.248
_cell_length_b 7.248
_cell_length_c 7.789
_cell_angle_alpha 90.00
_cell_angle_beta 90.00
_cell_angle_gamma 152.95
loop_
_atom_site_label
_atom_site_type_symbol
_atom_site_fract_x
_atom_site_fract_y
_atom_site_fract_z
_atom_site_occupancy
Ta1 Ta 0.237 0.763 0.750 1
Ta2 Ta 0.763 0.237 0.250 1
Ag1 Ag 0.500 0.500 0.000 1
Ag2 Ag 0.500 0.500 0.500 1
S1 S 0.173 0.827 0.071 1
S2 S 0.173 0.827 0.429 1
S3 S 0.397 0.603 0.250 1
S4 S 0.603 0.397 0.750 1
S5 S 0.827 0.173 0.571 1
S6 S 0.827 0.173 0.929 1
```

---

4.
The following is a meta-GGA r2SCAN calculation of Ta4AgS8 after structural relaxation, from the Materials Project database.

Calculated values
Relative energy among the computed polymorphs, meV/atom: 0
Electronic total energy, eV per cell: -588.51
Calculated formation energy, eV per atom: -1.10

```
data_Ta4AgS8
_symmetry_space_group_name_H-M 'P 1'
_symmetry_Int_Tables_number 1
_symmetry_space_group_name_Hall 'P 1'
_cell_length_a 5.803
_cell_length_b 6.713
_cell_length_c 13.586
_cell_angle_alpha 82.96
_cell_angle_beta 85.73
_cell_angle_gamma 90.00
loop_
_atom_site_label
_atom_site_type_symbol
_atom_site_fract_x
_atom_site_fract_y
_atom_site_fract_z
_atom_site_occupancy
Ta1 Ta 0.201 0.064 0.232 1
Ta2 Ta 0.201 0.570 0.232 1
Ta3 Ta 0.277 0.683 0.768 1
Ta4 Ta 0.280 0.184 0.766 1
Ta5 Ta 0.720 0.816 0.234 1
Ta6 Ta 0.723 0.317 0.232 1
Ta7 Ta 0.799 0.430 0.768 1
Ta8 Ta 0.799 0.936 0.768 1
Ag1 Ag 0.346 0.244 0.522 1
Ag2 Ag 0.654 0.756 0.478 1
S1 S 0.105 0.403 0.883 1
S2 S 0.105 0.906 0.883 1
S3 S 0.141 0.468 0.649 1
S4 S 0.141 0.957 0.649 1
S5 S 0.353 0.788 0.347 1
S6 S 0.361 0.289 0.344 1
S7 S 0.399 0.344 0.122 1
S8 S 0.402 0.844 0.120 1
S9 S 0.598 0.156 0.880 1
S10 S 0.601 0.656 0.878 1
S11 S 0.639 0.711 0.656 1
S12 S 0.647 0.212 0.653 1
S13 S 0.859 0.043 0.351 1
S14 S 0.859 0.532 0.351 1
S15 S 0.895 0.094 0.117 1
S16 S 0.895 0.597 0.117 1
```